(1)
Y2GeO5 | Materials Project | PBE-GGA | relaxed; space group = Pnma, No. 62; calculated formation energy = -321.7 kJ/mol of atoms; calculated volume = 430.7 Å³/cell
1.0
10.362 0.000 0.000
0.000 3.730 0.000
0.000 0.000 11.144
Y Ge O
8 4 20
direct
0.110 0.250 0.223
0.136 0.250 0.557
0.364 0.750 0.057
0.390 0.750 0.723
0.610 0.250 0.277
0.636 0.250 0.943
0.864 0.750 0.443
0.890 0.750 0.777
0.175 0.250 0.881
0.325 0.750 0.381
0.675 0.250 0.619
0.825 0.750 0.119
0.007 0.750 0.604
0.009 0.250 0.842
0.223 0.250 0.039
0.231 0.750 0.884
0.242 0.750 0.234
0.258 0.250 0.734
0.269 0.250 0.384
0.277 0.750 0.539
0.491 0.750 0.342
0.493 0.250 0.104
0.507 0.750 0.896
0.509 0.250 0.658
0.723 0.250 0.461
0.731 0.750 0.616
0.742 0.750 0.266
0.758 0.250 0.766
0.769 0.250 0.116
0.777 0.750 0.961
0.991 0.750 0.158
0.993 0.250 0.396


(2)
Y2GeO5 | Materials Project | PBE-GGA | relaxed; M_tot = 0.00 μB/f.u.; space group = C2/c, No. 15; calculated formation energy = -311.1 kJ/mol of atoms; calculated volume = 206.5 Å³/cell
1.0
5.877 -2.602 0.000
5.877 2.602 0.000
-2.904 0.000 6.752
Y Ge O
4 2 10
direct
0.122 0.173 0.286
0.173 0.122 0.786
0.827 0.878 0.214
0.878 0.827 0.714
0.500 0.500 0.000
0.500 0.500 0.500
0.123 0.718 0.025
0.169 0.506 0.373
0.282 0.877 0.475
0.344 0.656 0.750
0.494 0.831 0.127
0.506 0.169 0.873
0.656 0.344 0.250
0.718 0.123 0.525
0.831 0.494 0.627
0.877 0.282 0.975


(3)
Y2GeO5 | Materials Project | PBE-GGA | relaxed; space group = P2_1/c, No. 14; calculated formation energy = -321.6 kJ/mol of atoms; calculated volume = 437.4 Å³/cell
1.0
9.374 0.000 0.000
0.000 7.031 0.000
-1.536 0.000 6.636
Y Ge O
8 4 20
direct
0.028 0.124 0.230
0.028 0.376 0.730
0.358 0.139 0.024
0.358 0.361 0.524
0.642 0.639 0.476
0.642 0.861 0.976
0.972 0.624 0.270
0.972 0.876 0.770
0.301 0.596 0.015
0.301 0.904 0.515
0.699 0.096 0.485
0.699 0.404 0.985
0.108 0.117 0.926
0.108 0.383 0.426
0.109 0.640 0.988
0.109 0.860 0.488
0.281 0.078 0.313
0.281 0.422 0.813
0.381 0.069 0.704
0.381 0.431 0.204
0.396 0.697 0.493
0.396 0.803 0.993
0.604 0.197 0.007
0.604 0.303 0.507
0.619 0.569 0.796
0.619 0.931 0.296
0.719 0.578 0.187
0.719 0.922 0.687
0.891 0.140 0.512
0.891 0.360 0.012
0.892 0.617 0.574
0.892 0.883 0.074


Which formula does entry 1 have?
Y2GeO5